#A
Material: K2MgFe4P6O16F12
Method: DFT, PBE with a Hubbard U
State: relaxed

The value obtained for the density is 2.8 Mg/m³. The space-group type is P-1 (2).

a = 7.6498 Å, b = 7.7394 Å, c = 10.8171 Å
α = 79.82°, β = 72.47°, γ = 89.94°
Last column: nearest neighbours and their distance in Å.
Atoms (fractional coordinates):
K: 0.2112 0.3889 0.2719  2 F 2.64-2.72, 1 O 2.66
K: 0.7888 0.6111 0.7281  2 F 2.64-2.72, 1 O 2.66
Mg: 0.5000 0.5000 0.5000  4 O 2.09-2.13, 2 F 2.29
Fe: 0.0000 0.5000 0.0000  4 O 2.07-2.21, 2 F 2.15
Fe: 0.3400 0.1672 0.8382  2 F 1.92-2.00, 3 O 1.94-2.06
Fe: 0.5000 0.0000 0.5000  2 F 2.08, 4 O 2.17-2.19
Fe: 0.6600 0.8328 0.1618  2 F 1.92-2.00, 3 O 1.94-2.06
P: 0.0698 0.0920 0.6580  2 O 1.49, 2 F 1.57-1.58
P: 0.2898 0.5935 0.6908  3 O 1.48-1.55
P: 0.3378 0.7658 0.0187  3 O 1.51-1.52, 1 F 1.62
P: 0.6622 0.2342 0.9813  3 O 1.51-1.52, 1 F 1.62
P: 0.7102 0.4065 0.3092  3 O 1.48-1.55
P: 0.9302 0.9080 0.3420  2 O 1.49, 2 F 1.57-1.58
O: 0.1179 0.1426 0.7708  1 P 1.49
O: 0.1389 0.6441 0.7983  1 P 1.48
O: 0.1877 0.6201 0.0654  1 P 1.52
O: 0.2095 0.0422 0.5422  1 P 1.49
O: 0.2845 0.9408 0.9566  1 P 1.51
O: 0.3922 0.4216 0.7044  1 P 1.55
O: 0.4303 0.7737 0.1244  1 P 1.52
O: 0.4439 0.7226 0.5940  1 P 1.54
O: 0.5561 0.2774 0.4060  1 P 1.54
O: 0.5697 0.2263 0.8756  1 P 1.52
O: 0.6078 0.5784 0.2956  1 P 1.55
O: 0.7155 0.0592 0.0434  1 P 1.51
O: 0.7905 0.9578 0.4578  1 P 1.49
O: 0.8123 0.3799 0.9346  1 P 1.52
O: 0.8611 0.3559 0.2017  1 P 1.48
O: 0.8821 0.8574 0.2292  1 P 1.49
F: 0.0399 0.7547 0.3966  1 P 1.58
F: 0.0927 0.0529 0.2850  1 P 1.57
F: 0.1885 0.2946 0.9645  2 Fe 1.92-2.15
F: 0.1930 0.5451 0.5787  1 P 1.69
F: 0.4858 0.0808 0.6764  2 Fe 2.00-2.08
F: 0.4938 0.7046 0.8987  1 P 1.62
F: 0.5062 0.2954 0.1013  1 P 1.62
F: 0.5142 0.9192 0.3236  2 Fe 2.00-2.08
F: 0.8070 0.4549 0.4213  1 P 1.69
F: 0.8115 0.7054 0.0355  2 Fe 1.92-2.15
F: 0.9073 0.9471 0.7150  1 P 1.57
F: 0.9601 0.2453 0.6034  1 P 1.58

***

#B
Material: K2MgFe4P6O16F12
Method: DFT, PBE with a Hubbard U
State: relaxed

The value obtained for the density is 2.8 Mg/m³. The space-group type is P1 (1).

a = 7.4301 Å, b = 7.9777 Å, c = 10.6799 Å
α = 100.48°, β = 109.86°, γ = 91.90°
Last column: nearest neighbours and their distance in Å.
Atoms (fractional coordinates):
K: 0.0000 0.0000 0.0000  2 F 2.71-3.03, 3 O 2.81-2.88
K: 0.4402 0.9251 0.4333  2 F 2.71-2.84, 4 O 2.71-2.90
Mg: 0.6586 0.5136 0.4329  2 F 1.89-2.11, 1 O 2.00
Fe: 0.2450 0.9246 0.7313  2 F 1.96-2.04, 4 O 1.98-2.05
Fe: 0.5710 0.6041 0.8922  2 F 1.95-2.00, 4 O 1.97-2.07
Fe: 0.7596 0.4039 0.1999  2 O 2.02-2.10, 2 F 2.02-2.19
Fe: 0.9033 0.2199 0.5603  2 F 2.07-2.22, 4 O 2.10-2.21
P: 0.1911 0.3241 0.3814  2 O 1.48, 2 F 1.59-1.63
P: 0.3163 0.5246 0.0900  2 O 1.49-1.51, 2 F 1.56-1.57
P: 0.5453 0.9959 0.0406  3 O 1.51-1.53, 1 F 1.61
P: 0.5827 0.2142 0.7271  3 O 1.52-1.53, 1 F 1.60
P: 0.8660 0.6535 0.7139  3 O 1.50-1.52
P: 0.9409 0.8262 0.4184  3 O 1.51-1.54, 1 F 1.60
O: 0.0170 0.8035 0.7579  1 P 1.50
O: 0.0589 0.3991 0.2721  1 P 1.48
O: 0.1380 0.8267 0.5277  1 P 1.53
O: 0.1448 0.2604 0.4893  1 P 1.48
O: 0.3469 0.0036 0.9357  1 P 1.53
O: 0.3611 0.5740 0.9753  1 P 1.49
O: 0.4647 0.0441 0.7075  1 P 1.53
O: 0.4717 0.4932 0.2149  1 P 1.51
O: 0.4975 0.3707 0.7795  1 P 1.52
O: 0.6385 0.2189 0.6034  1 P 1.52
O: 0.6525 0.8467 0.0017  1 P 1.53
O: 0.6761 0.1616 0.0920  1 P 1.51
O: 0.7932 0.6296 0.8252  1 P 1.50
O: 0.8217 0.9664 0.4505  1 P 1.51
O: 0.8230 0.6498 0.3649  1 P 1.54
O: 0.8894 0.4966 0.6182  1 P 1.52
F: 0.0918 0.1201 0.7139  2 Fe 1.96-2.07
F: 0.1623 0.3654 0.0318  1 P 1.56
F: 0.1959 0.6635 0.1389  1 P 1.57
F: 0.2868 0.1802 0.3083  1 P 1.59
F: 0.3836 0.4594 0.4522  1 P 1.63
F: 0.3858 0.7108 0.7525  2 Fe 2.00-2.04
F: 0.4914 0.9564 0.1668  1 P 1.61
F: 0.6731 0.7144 0.5957  1 P 1.71
F: 0.7316 0.2994 0.3693  1 Mg 1.89
F: 0.7474 0.5279 0.0486  2 Fe 1.95-2.02
F: 0.7806 0.2049 0.8471  1 P 1.60
F: 0.9977 0.8618 0.2929  1 P 1.60

***

#B takes first place; second place is 37 meV/atom up.